(1)
A plane-wave DFT calculation with PBE was carried out for an optimized crystal structure of Mg14TiCu.

Summary:
Crystal system: hexagonal
Calculated formation energy, eV/f.u.: 0.99

The structure in extended XYZ format:
```
16
Lattice="6.285 0.000 0.000 -3.142 5.443 0.000 0.000 0.000 10.001" Properties=species:S:1:pos:R:3 pbc="T T T"
Mg 0.000 0.000 2.469
Mg 0.000 0.000 7.532
Mg -1.507 2.758 2.542
Mg -1.507 2.758 7.459
Mg 1.561 0.901 5.000
Mg 1.602 0.925 0.000
Mg 1.507 2.758 2.542
Mg 1.507 2.758 7.459
Mg 0.000 5.369 2.542
Mg 0.000 5.369 7.459
Mg 4.682 0.925 0.000
Mg 3.142 3.592 0.000
Mg 4.723 0.901 5.000
Mg 3.142 3.640 5.000
Ti 0.000 3.628 0.000
Cu 0.000 3.628 5.000
```



(2)
A plane-wave DFT calculation with PBE was carried out for an optimized crystal structure of Mg14TiCu.

Summary:
Crystal system: orthorhombic
Calculated formation energy, eV/f.u.: 0.99

The structure in extended XYZ format:
```
16
Lattice="10.009 0.000 0.000 0.000 3.122 5.455 0.000 -3.122 5.455" Properties=species:S:1:pos:R:3 pbc="T T T"
Mg 0.000 0.000 0.000
Mg 0.000 -1.554 2.741
Mg 0.000 0.000 5.446
Mg 0.000 1.554 2.741
Mg 2.515 0.000 7.240
Mg 2.613 0.000 1.775
Mg 2.618 -1.565 4.583
Mg 2.618 1.565 4.583
Mg 5.005 -1.518 8.211
Mg 5.005 1.518 8.211
Mg 7.391 -1.565 4.583
Mg 7.391 1.565 4.583
Mg 7.396 0.000 1.775
Mg 7.494 0.000 7.240
Ti 5.005 0.000 5.509
Cu 5.005 0.000 10.871
```



(3)
A plane-wave DFT calculation with PBE was carried out for an optimized crystal structure of Tm2MgCu2.

Summary:
Crystal system: tetragonal
Calculated formation energy, eV/f.u.: -1.22

The structure in extended XYZ format:
```
10
Lattice="7.609 0.000 0.000 0.000 7.609 0.000 0.000 0.000 3.526" Properties=species:S:1:pos:R:3 pbc="T T T"
Tm 1.298 2.506 0.000
Tm 2.506 6.310 0.000
Tm 5.103 1.298 0.000
Tm 6.310 5.103 0.000
Mg 0.000 0.000 1.763
Mg 3.804 3.804 1.763
Cu 0.924 4.729 1.763
Cu 2.880 0.924 1.763
Cu 4.729 6.684 1.763
Cu 6.684 2.880 1.763
```



(4)
A plane-wave DFT calculation with PBE was carried out for an optimized crystal structure of Mg14VCu.

Summary:
Crystal system: orthorhombic
Calculated formation energy, eV/f.u.: 1.49

The structure in extended XYZ format:
```
16
Lattice="9.993 0.000 0.000 0.000 3.136 5.417 0.000 -3.136 5.417" Properties=species:S:1:pos:R:3 pbc="T T T"
Mg 0.000 0.000 0.000
Mg 0.000 -1.564 2.730
Mg 0.000 0.000 5.411
Mg 0.000 1.564 2.730
Mg 2.524 0.000 7.200
Mg 2.591 0.000 1.779
Mg 2.644 -1.574 4.568
Mg 2.644 1.574 4.568
Mg 4.997 -1.538 8.124
Mg 4.997 1.538 8.124
Mg 7.350 -1.574 4.568
Mg 7.350 1.574 4.568
Mg 7.403 0.000 1.779
Mg 7.469 0.000 7.200
V 4.997 0.000 5.450
Cu 4.997 0.000 0.006
```



(5)
A plane-wave DFT calculation with PBE was carried out for an optimized crystal structure of Mg14VCu.

Summary:
Crystal system: hexagonal
Calculated formation energy, eV/f.u.: 1.51

The structure in extended XYZ format:
```
16
Lattice="6.249 0.000 0.000 -3.124 5.412 0.000 0.000 0.000 9.993" Properties=species:S:1:pos:R:3 pbc="T T T"
Mg 0.000 0.000 2.477
Mg 0.000 0.000 7.516
Mg -1.502 2.741 2.534
Mg -1.502 2.741 7.459
Mg 1.554 0.897 4.997
Mg 1.580 0.912 0.000
Mg 1.502 2.741 2.534
Mg 1.502 2.741 7.459
Mg 0.000 5.342 2.534
Mg 0.000 5.342 7.459
Mg 4.669 0.912 0.000
Mg 3.124 3.588 0.000
Mg 4.695 0.897 4.997
Mg 3.124 3.617 4.997
V 0.000 3.608 0.000
Cu 0.000 3.608 4.997
```



(6)
A plane-wave DFT calculation with PBE was carried out for an optimized crystal structure of YMgCu.

Summary:
Energy above the lowest structure with this stoichiometry, meV per atom: 749
Crystal system: cubic
Calculated formation energy, eV/f.u.: 1.60

The structure in extended XYZ format:
```
12
Lattice="6.786 0.000 0.000 0.000 6.786 0.000 0.000 0.000 6.786" Properties=species:S:1:pos:R:3 pbc="T T T"
Y 0.000 0.000 0.000
Y 0.000 3.393 3.393
Y 3.393 0.000 3.393
Y 3.393 3.393 0.000
Mg 1.696 1.696 5.089
Mg 1.696 5.089 1.696
Mg 5.089 1.696 1.696
Mg 5.089 5.089 5.089
Cu 1.696 1.696 1.696
Cu 1.696 5.089 5.089
Cu 5.089 1.696 5.089
Cu 5.089 5.089 1.696
```



(7)
A plane-wave DFT calculation with PBE was carried out for an optimized crystal structure of YMg2Cu9.

Summary:
Crystal system: hexagonal
Calculated formation energy, eV/f.u.: -2.09

The structure in extended XYZ format:
```
24
Lattice="5.008 0.000 0.000 -2.504 4.337 0.000 0.000 0.000 16.166" Properties=species:S:1:pos:R:3 pbc="T T T"
Y 0.000 2.891 4.042
Y 2.504 1.446 12.125
Mg 0.000 2.891 0.530
Mg 0.000 2.891 7.553
Mg 2.504 1.446 8.614
Mg 2.504 1.446 15.636
Cu 0.000 0.000 0.000
Cu 0.000 0.000 4.042
Cu 0.000 0.000 8.083
Cu 0.000 0.000 12.125
Cu 0.000 1.458 10.073
Cu 0.000 1.458 14.176
Cu -1.241 3.608 10.073
Cu -1.241 3.608 14.176
Cu 0.000 2.891 12.125
Cu 1.263 0.729 1.990
Cu 1.263 0.729 6.093
Cu 1.241 3.608 10.073
Cu 1.241 3.608 14.176
Cu 2.504 1.446 4.042
Cu 3.745 0.729 1.990
Cu 3.745 0.729 6.093
Cu 2.504 2.879 1.990
Cu 2.504 2.879 6.093
```



(8)
A plane-wave DFT calculation with PBE was carried out for an optimized crystal structure of YMgCu4.

Summary:
Crystal system: cubic
Calculated formation energy, eV/f.u.: -1.41

The structure in extended XYZ format:
```
6
Lattice="0.000 3.612 3.612 3.612 0.000 3.612 3.612 3.612 0.000" Properties=species:S:1:pos:R:3 pbc="T T T"
Y 0.000 0.000 0.000
Mg 1.806 1.806 1.806
Cu 4.507 2.717 2.717
Cu 2.717 4.507 2.717
Cu 2.717 2.717 4.507
Cu 4.507 4.507 4.507
```